Entry 1:
Computed, not measured: a relaxed structure of AlO2 at the PBE level of DFT.

Properties
* symmetry: Pnma (62)
* magnetization: 4.00 μB/cell

a = 9.336 Å, b = 2.919 Å, c = 4.801 Å
α = 90.00°, β = 90.00°, γ = 90.00°
Fractional positions:
Al1 0.162 0.250 0.056
Al2 0.338 0.750 0.556
Al3 0.662 0.250 0.444
Al4 0.838 0.750 0.944
O1 0.035 0.750 0.848
O2 0.226 0.750 0.247
O3 0.274 0.250 0.747
O4 0.465 0.250 0.348
O5 0.535 0.750 0.652
O6 0.726 0.750 0.253
O7 0.774 0.250 0.753
O8 0.965 0.250 0.152

=====

Entry 2:
Computed, not measured: a relaxed structure of MgZrTiPb2O6 at the PBE level of DFT.

Properties
* symmetry: Pm (6)
* magnetization: 0.00 μB/cell

a = 5.431 Å, b = 5.427 Å, c = 6.397 Å
α = 90.00°, β = 90.36°, γ = 90.00°
Fractional positions:
Mg1 0.000 0.000 0.000
Zr1 0.495 0.000 0.770
Ti1 0.003 0.500 0.793
Pb1 0.023 0.000 0.454
Pb2 0.507 0.500 0.144
O1 0.013 0.500 0.521
O2 0.250 0.260 0.913
O3 0.250 0.740 0.913
O4 0.492 0.000 0.468
O5 0.754 0.258 0.899
O6 0.754 0.742 0.899

=====

Entry 3:
Computed, not measured: a relaxed structure of Nb2GeAs2 at the PBE level of DFT.

Properties
* symmetry: P4/mmm (123)
* magnetization: 0.00 μB/cell

a = 2.744 Å, b = 2.744 Å, c = 14.586 Å
α = 90.00°, β = 90.00°, γ = 90.00°
Fractional positions:
Nb1 0.000 0.000 0.180
Nb2 0.000 0.000 0.820
Ge1 0.000 0.000 0.000
As1 0.000 0.000 0.363
As2 0.000 0.000 0.637

=====

Entry 4:
Computed, not measured: a relaxed structure of Th2I2N at the PBE level of DFT.

Properties
* symmetry: P4/mmm (123)
* magnetization: 1.01 μB/cell

a = 4.077 Å, b = 4.077 Å, c = 15.521 Å
α = 90.00°, β = 90.00°, γ = 90.00°
Fractional positions:
Th1 0.000 0.000 0.133
Th2 0.000 0.000 0.867
I1 0.000 0.000 0.325
I2 0.000 0.000 0.675
N1 0.000 0.000 0.000

=====

Entry 5:
Computed, not measured: a relaxed structure of Sr6FeC2N7 at the PBE level of DFT.

Properties
* symmetry: P2_12_12 (18)
* magnetization: 6.00 μB/cell

a = 9.965 Å, b = 14.880 Å, c = 3.860 Å
α = 90.00°, β = 90.00°, γ = 90.00°
Fractional positions:
Sr1 0.070 0.110 0.056
Sr2 0.098 0.666 0.511
Sr3 0.245 0.943 0.557
Sr4 0.255 0.443 0.443
Sr5 0.402 0.166 0.489
Sr6 0.430 0.610 0.944
Sr7 0.570 0.390 0.944
Sr8 0.598 0.834 0.489
Sr9 0.745 0.557 0.443
Sr10 0.755 0.057 0.557
Sr11 0.902 0.334 0.511
Sr12 0.930 0.890 0.056
Fe1 0.000 0.500 0.979
Fe2 0.500 0.000 0.021
C1 0.226 0.281 0.819
C2 0.274 0.781 0.181
C3 0.726 0.219 0.181
C4 0.774 0.719 0.819
N1 0.000 0.000 0.564
N2 0.131 0.251 0.642
N3 0.167 0.555 0.975
N4 0.172 0.808 0.031
N5 0.328 0.308 0.969
N6 0.333 0.055 0.025
N7 0.369 0.751 0.358
N8 0.500 0.500 0.436
N9 0.631 0.249 0.358
N10 0.667 0.945 0.025
N11 0.672 0.692 0.969
N12 0.828 0.192 0.031
N13 0.833 0.445 0.975
N14 0.869 0.749 0.642

=====

Entry 6:
Computed, not measured: a relaxed structure of CeZnPt at the PBE level of DFT.

Properties
* symmetry: Pnma (62)

a = 6.953 Å, b = 4.344 Å, c = 8.124 Å
α = 90.00°, β = 90.00°, γ = 90.00°
Fractional positions:
Ce1 0.035 0.250 0.193
Ce2 0.465 0.750 0.693
Ce3 0.535 0.250 0.307
Ce4 0.965 0.750 0.807
Zn1 0.146 0.250 0.565
Zn2 0.354 0.750 0.065
Zn3 0.646 0.250 0.935
Zn4 0.854 0.750 0.435
Pt1 0.245 0.750 0.387
Pt2 0.255 0.250 0.887
Pt3 0.745 0.750 0.113
Pt4 0.755 0.250 0.613

=====

Entry 7:
Computed, not measured: a relaxed structure of Na2Al4In4SiS11O48 at the PBE level of DFT.

Properties
* symmetry: P1 (1)
* magnetization: 0.00 μB/cell

a = 8.612 Å, b = 14.932 Å, c = 22.434 Å
α = 90.03°, β = 90.09°, γ = 90.06°
Fractional positions:
Na1 0.000 0.000 0.000
Na2 0.007 0.662 0.170
Na3 0.019 0.665 0.672
Na4 0.524 0.171 0.670
Na5 0.531 0.163 0.166
Na6 0.555 0.502 0.509
Al1 0.021 0.003 0.847
Al2 0.021 0.335 0.687
Al3 0.022 0.003 0.650
Al4 0.022 0.668 0.013
Al5 0.023 0.340 0.978
Al6 0.024 0.661 0.816
Al7 0.520 0.838 0.490
Al8 0.521 0.178 0.819
Al9 0.522 0.505 0.854
Al10 0.524 0.170 0.524
Al11 0.524 0.842 0.691
Al12 0.528 0.502 0.655
In1 0.012 0.343 0.490
In2 0.015 0.669 0.320
In3 0.016 0.005 0.145
In4 0.016 0.346 0.189
In5 0.020 0.662 0.528
In6 0.022 0.005 0.363
In7 0.519 0.165 0.320
In8 0.522 0.166 0.015
In9 0.526 0.503 0.353
In10 0.528 0.835 0.184
In11 0.529 0.841 0.975
In12 0.530 0.503 0.146
Si1 0.666 0.987 0.081
Si2 0.821 0.506 0.254
Si3 0.869 0.481 0.595
S1 0.164 0.200 0.078
S2 0.166 0.148 0.748
S3 0.166 0.859 0.748
S4 0.168 0.486 0.075
S5 0.179 0.815 0.427
S6 0.181 0.518 0.422
S7 0.222 0.826 0.078
S8 0.232 0.171 0.428
S9 0.238 0.503 0.751
S10 0.308 0.664 0.912
S11 0.314 0.002 0.251
S12 0.320 0.333 0.592
S13 0.364 0.027 0.907
S14 0.371 0.654 0.249
S15 0.374 0.321 0.914
S16 0.374 0.981 0.590
S17 0.377 0.348 0.250
S18 0.388 0.698 0.593
S19 0.659 0.020 0.430
S20 0.665 0.312 0.427
S21 0.665 0.358 0.756
S22 0.667 0.649 0.756
S23 0.682 0.686 0.076
S24 0.713 0.680 0.427
S25 0.733 0.004 0.753
S26 0.736 0.340 0.075
S27 0.804 0.845 0.593
S28 0.823 0.170 0.912
S29 0.873 0.525 0.915
S30 0.873 0.859 0.255
S31 0.874 0.151 0.255
S32 0.874 0.185 0.592
S33 0.893 0.812 0.910
O1 0.087 0.900 0.695
O2 0.090 0.106 0.800
O3 0.093 0.237 0.738
O4 0.097 0.455 0.131
O5 0.098 0.577 0.063
O6 0.099 0.244 0.024
O7 0.099 0.774 0.478
O8 0.102 0.767 0.756
O9 0.107 0.429 0.424
O10 0.108 0.106 0.078
O11 0.113 0.905 0.420
O12 0.117 0.747 0.069
O13 0.121 0.245 0.134
O14 0.123 0.562 0.368
O15 0.129 0.908 0.084
O16 0.130 0.582 0.759
O17 0.131 0.427 0.023
O18 0.133 0.249 0.435
O19 0.137 0.916 0.801
O20 0.139 0.087 0.427
O21 0.147 0.088 0.695
O22 0.148 0.420 0.743
O23 0.154 0.571 0.477
O24 0.159 0.762 0.372
O25 0.194 0.018 0.895
O26 0.204 0.989 0.600
O27 0.205 0.650 0.965
O28 0.205 0.678 0.253
O29 0.206 0.329 0.924
O30 0.211 0.676 0.857
O31 0.212 0.327 0.247
O32 0.215 0.310 0.642
O33 0.217 0.696 0.589
O34 0.220 0.004 0.306
O35 0.224 0.015 0.195
O36 0.237 0.350 0.536
O37 0.311 0.807 0.133
O38 0.314 0.182 0.371
O39 0.316 0.837 0.024
O40 0.335 0.202 0.076
O41 0.336 0.853 0.739
O42 0.337 0.160 0.758
O43 0.337 0.494 0.080
O44 0.337 0.524 0.698
O45 0.339 0.493 0.805
O46 0.342 0.162 0.479
O47 0.347 0.823 0.439
O48 0.352 0.507 0.419
O49 0.374 0.077 0.964
O50 0.386 0.598 0.194
O51 0.397 0.259 0.861
O52 0.399 0.917 0.250
O53 0.399 0.923 0.538
O54 0.404 0.744 0.919
O55 0.405 0.400 0.305
O56 0.407 0.584 0.905
O57 0.411 0.415 0.605
O58 0.421 0.610 0.304
O59 0.422 0.080 0.252
O60 0.424 0.754 0.646
O61 0.428 0.254 0.584
O62 0.429 0.393 0.194
O63 0.433 0.938 0.909
O64 0.440 0.073 0.580
O65 0.443 0.078 0.858
O66 0.443 0.409 0.901
O67 0.450 0.606 0.600
O68 0.452 0.944 0.644
O69 0.457 0.284 0.966
O70 0.459 0.738 0.539
O71 0.464 0.262 0.253
O72 0.466 0.736 0.244
O73 0.580 0.085 0.082
O74 0.584 0.398 0.704
O75 0.588 0.267 0.764
O76 0.588 0.933 0.442
O77 0.591 0.053 0.373
O78 0.595 0.402 0.428
O79 0.595 0.609 0.810
O80 0.601 0.942 0.141
O81 0.602 0.739 0.745
O82 0.604 0.605 0.422
O83 0.605 0.264 0.481
O84 0.607 0.598 0.079
O85 0.616 0.731 0.024
O86 0.620 0.266 0.371
O87 0.627 0.082 0.480
O88 0.627 0.764 0.439
O89 0.630 0.926 0.743
O90 0.631 0.263 0.071
O91 0.635 0.086 0.762
O92 0.638 0.939 0.017
O93 0.640 0.416 0.809
O94 0.641 0.590 0.704
O95 0.647 0.423 0.076
O96 0.666 0.736 0.132
O97 0.682 0.494 0.606
O98 0.701 0.162 0.257
O99 0.702 0.173 0.583
O100 0.705 0.517 0.904
O101 0.705 0.858 0.540
O102 0.706 0.844 0.252
O103 0.708 0.831 0.647
O104 0.712 0.188 0.861
O105 0.721 0.516 0.194
O106 0.724 0.819 0.913
O107 0.734 0.501 0.318
O108 0.737 0.146 0.966
O109 0.804 0.695 0.372
O110 0.812 0.659 0.479
O111 0.823 0.325 0.131
O112 0.829 0.012 0.425
O113 0.830 0.985 0.807
O114 0.831 0.344 0.746
O115 0.835 0.021 0.701
O116 0.835 0.315 0.427
O117 0.840 0.343 0.022
O118 0.841 0.657 0.764
O119 0.854 0.000 0.082
O120 0.854 0.675 0.067
O121 0.878 0.434 0.530
O122 0.897 0.244 0.644
O123 0.897 0.587 0.966
O124 0.900 0.913 0.310
O125 0.901 0.927 0.601
O126 0.902 0.095 0.203
O127 0.906 0.767 0.588
O128 0.921 0.090 0.898
O129 0.921 0.110 0.313
O130 0.921 0.250 0.921
O131 0.928 0.596 0.254
O132 0.929 0.419 0.253
O133 0.931 0.756 0.858
O134 0.934 0.901 0.200
O135 0.942 0.436 0.926
O136 0.945 0.096 0.604
O137 0.947 0.219 0.537
O138 0.951 0.237 0.250
O139 0.951 0.563 0.861
O140 0.954 0.580 0.594
O141 0.955 0.425 0.647
O142 0.958 0.774 0.259
O143 0.961 0.773 0.965
O144 0.962 0.904 0.903

=====

Entry 8:
Computed, not measured: a relaxed structure of Gd2O3 at the PBE level of DFT.

Properties
* symmetry: P-3m1 (164)

a = 3.747 Å, b = 3.747 Å, c = 5.952 Å
α = 90.00°, β = 90.00°, γ = 120.00°
Fractional positions:
Gd1 0.333 0.667 0.249
Gd2 0.667 0.333 0.751
O1 0.000 0.000 0.000
O2 0.333 0.667 0.645
O3 0.667 0.333 0.355

=====

Entry 9:
Computed, not measured: a relaxed structure of PuPt at the PBE level of DFT.

Properties
* symmetry: Cmcm (63)
* magnetization: 10.72 μB/cell

a = 5.596 Å, b = 5.596 Å, c = 4.309 Å
α = 90.00°, β = 90.00°, γ = 140.07°
Fractional positions:
Pu1 0.136 0.864 0.750
Pu2 0.864 0.136 0.250
Pt1 0.404 0.596 0.750
Pt2 0.596 0.404 0.250

=====

Entry 10:
Computed, not measured: a relaxed structure of Ge2Os at the PBE level of DFT.

Properties
* symmetry: C2/m (12)

a = 4.813 Å, b = 4.813 Å, c = 7.770 Å
α = 117.51°, β = 117.51°, γ = 37.98°
Fractional positions:
Ge1 0.101 0.101 0.389
Ge2 0.356 0.356 0.968
Ge3 0.644 0.644 0.032
Ge4 0.899 0.899 0.611
Os1 0.346 0.346 0.299
Os2 0.654 0.654 0.701

=====

Calculated total DFT energy (no corrections), -0.2468 -0.2639 -0.2339 -0.2020 -0.2444 -0.1944 -0.2288 -0.4421 -0.4026 -0.2539 Ha/atom (same order as the records).
Calculated E_form, -2.63 -2.54 0.47 -0.33 -0.84 -0.87 -2.17 -3.84 -0.79 -0.08 eV/atom (same order as the records).